An optimized crystal structure of CaCeAlFe2Si3O13. Source: the Materials Project, functional GGA+U.

**Space group**: P2_1/m
**Theoretical density**: 4.156 g/cm3
**ΔH_f (0 K)**: -3032.4 meV per atom

Cell: 5.8570 9.0137 10.2222 Å, 64.82 90.00 90.00°
Fractional positions:
Fe (0.2500, 0.9218, 0.7733)
O (0.5116, 0.7873, 0.9663)
Si (0.2500, 0.5819, 0.7327)
Al (0.0000, 0.5000, 0.5000)
O (0.7500, 0.3395, 0.5821)
Fe (0.7500, 0.0782, 0.2267)
O (0.2500, 0.0730, 0.8660)
O (0.5209, 0.4756, 0.3259)
O (0.4884, 0.2127, 0.0337)
O (0.7500, 0.1037, 0.8395)
O (0.9723, 0.0546, 0.6226)
O (0.2500, 0.3254, 0.1960)
O (0.0116, 0.2127, 0.0337)
O (0.0209, 0.5244, 0.6741)
Si (0.7500, 0.4181, 0.2673)
O (0.0277, 0.9454, 0.3774)
Ca (0.7500, 0.3801, 0.8504)
Ca (0.2500, 0.6199, 0.1496)
O (0.9791, 0.4756, 0.3259)
O (0.2500, 0.7780, 0.6739)
Si (0.2500, 0.3025, 0.0458)
Ce (0.7500, 0.8070, 0.5617)
O (0.2500, 0.3508, 0.5457)
O (0.7500, 0.6492, 0.4543)
Fe (0.5000, 0.0000, 0.0000)
O (0.4791, 0.5244, 0.6741)
O (0.2500, 0.4917, 0.9127)
O (0.9884, 0.7873, 0.9663)
Si (0.2500, 0.8625, 0.3334)
O (0.2500, 0.6605, 0.4179)
O (0.4723, 0.9454, 0.3774)
O (0.7500, 0.2220, 0.3261)
Si (0.7500, 0.1375, 0.6666)
O (0.7500, 0.6746, 0.8040)
O (0.7500, 0.5083, 0.0873)
O (0.5277, 0.0546, 0.6226)
O (0.7500, 0.9270, 0.1340)
Ce (0.2500, 0.1930, 0.4383)
O (0.2500, 0.8963, 0.1605)
Si (0.7500, 0.6975, 0.9542)
Fe (0.0000, 0.0000, 0.0000)
Al (0.5000, 0.5000, 0.5000)

---

An optimized crystal structure of Ca2AlCoO5. Source: the Materials Project, functional GGA+U.

**Space group**: C2
**Theoretical density**: 3.773 g/cm3
**ΔH_f (0 K)**: -2796.9 meV per atom

Cell: 8.3013 8.3013 5.5899 Å, 70.56 70.56 36.91°
Fractional positions:
Ca (0.1023, 0.1175, 0.3558)
O (0.1826, 0.1177, 0.9230)
O (0.8704, 0.6297, 0.6095)
Ca (0.8825, 0.8977, 0.6442)
O (0.7349, 0.2379, 0.2563)
O (0.3830, 0.3280, 0.7102)
Co (0.5027, 0.4973, 0.5000)
O (0.6720, 0.6170, 0.2898)
O (0.7621, 0.2651, 0.7437)
O (0.2361, 0.7366, 0.2642)
O (0.8823, 0.8174, 0.0770)
Ca (0.3789, 0.4012, 0.0803)
Ca (0.5988, 0.6211, 0.9197)
Al (0.7069, 0.7910, 0.3262)
O (0.2634, 0.7639, 0.7358)
Al (0.2090, 0.2931, 0.6738)
Co (0.0016, 0.9984, 0.0000)
O (0.3703, 0.1296, 0.3906)

---

An optimized crystal structure of Ca2AlCoO5. Source: the Materials Project, functional GGA+U.

**Space group**: P1
**Theoretical density**: 3.766 g/cm3
**ΔH_f (0 K)**: -2793.8 meV per atom

Cell: 5.2726 5.5747 8.3265 Å, 109.69 108.81 88.98°
Fractional positions:
O (0.8130, 0.9273, 0.6974)
Al (0.7895, 0.6753, 0.4972)
O (0.7456, 0.7438, 0.9724)
Ca (0.4025, 0.9223, 0.7792)
Ca (0.8980, 0.3605, 0.7806)
Ca (0.1179, 0.6441, 0.2207)
Al (0.2947, 0.3280, 0.5036)
O (0.1183, 0.0780, 0.3039)
Co (0.9985, 0.0015, 0.9994)
O (0.6290, 0.3933, 0.4998)
O (0.2419, 0.7384, 0.9744)
O (0.1295, 0.6128, 0.5012)
O (0.6180, 0.7081, 0.2867)
O (0.2564, 0.2525, 0.0278)
Co (0.4976, 0.5014, 0.9996)
Ca (0.6207, 0.0796, 0.2203)
O (0.7589, 0.2723, 0.0258)
O (0.3318, 0.2960, 0.7138)

---

An optimized crystal structure of Ca4Al5CrSi6H2O26. Source: the Materials Project, functional GGA+U.

**Space group**: P-1
**Theoretical density**: 3.287 g/cm3
**ΔH_f (0 K)**: -3208.5 meV per atom

Cell: 5.6817 8.9478 10.2589 Å, 115.24 90.01 90.08°
Fractional positions:
O (0.9859, 0.2088, 0.6569)
Ca (0.7505, 0.7597, 0.1545)
O (0.2377, 0.0615, 0.1384)
O (0.7503, 0.3655, 0.8990)
O (0.4866, 0.6998, 0.6508)
Al (0.2488, 0.2911, 0.2259)
O (0.2497, 0.6345, 0.1010)
O (0.7578, 0.0388, 0.1456)
Si (0.2491, 0.6589, 0.9506)
O (0.7499, 0.0654, 0.4047)
O (0.5134, 0.3002, 0.3492)
H (0.7510, 0.9416, 0.6750)
Al (0.5000, 0.0000, 0.5000)
O (0.9863, 0.3035, 0.3520)
O (0.7623, 0.9385, 0.8616)
O (0.2422, 0.9612, 0.8544)
Si (0.7509, 0.3411, 0.0494)
Al (0.0000, 0.0000, 0.5000)
O (0.7500, 0.9190, 0.5721)
Ca (0.2495, 0.2403, 0.8455)
Cr (0.5000, 0.0000, 0.0000)
O (0.7522, 0.5192, 0.1804)
O (0.2500, 0.5130, 0.2982)
Al (0.0000, 0.0000, 0.0000)
O (0.2501, 0.9346, 0.5953)
Si (0.7512, 0.1847, 0.3169)
Si (0.7503, 0.3201, 0.7257)
Ca (0.7502, 0.6089, 0.4227)
O (0.0053, 0.7644, 0.9554)
O (0.0137, 0.6965, 0.6480)
O (0.2500, 0.0810, 0.4279)
Si (0.2488, 0.8153, 0.6831)
Ca (0.2498, 0.3911, 0.5773)
O (0.7500, 0.4870, 0.7018)
Si (0.2497, 0.6799, 0.2743)
O (0.5010, 0.7563, 0.9516)
O (0.0141, 0.7912, 0.3431)
O (0.5140, 0.2088, 0.6571)
H (0.2490, 0.0584, 0.3250)
O (0.9947, 0.2356, 0.0446)
Al (0.7512, 0.7089, 0.7741)
O (0.2478, 0.4808, 0.8196)
O (0.4990, 0.2437, 0.0484)
O (0.4860, 0.7912, 0.3429)